(1)
MgMn6O8F4: relaxed, PBE+U.

Results
E above lowest polymorph	64	meV/atom
formation enthalpy at 0 K	-42.73	eV/f.u.
symmetry	Pm (6)
spin magnetization	24.0	μB/f.u.
E_tot	-6.80	eV per atom

Cell lengths 11.5732, 6.7027, 3.0590 Å; angles 90.00, 90.00, 105.43 degrees
With the nearest neighbours (Å) after each atom.
Positions (direct):
O (0.6398, 0.6199, 0.0000)  3 Mn 1.98-2.03
O (0.6562, 0.0036, 0.0000)  3 Mn 2.03-2.23, 1 Mg 2.05
O (0.5063, 0.2472, 0.5000)  3 Mn 1.93
O (0.2215, 0.6165, 0.5000)  3 Mn 1.97
O (0.4437, 0.7251, 0.5000)  3 Mn 1.97
O (0.0093, 0.3368, 0.0000)  3 Mn 2.03-2.23, 1 Mg 2.05
O (0.0255, 0.7208, 0.0000)  3 Mn 1.98-2.03
O (0.1602, 0.0943, 0.5000)  3 Mn 1.93
F (0.8879, 0.0082, 0.5000)  2 Mg 2.07
F (0.7778, 0.3317, 0.5000)  2 Mg 2.07
F (0.3320, 0.9765, 0.0000)  3 Mn 2.01-2.05
F (0.3347, 0.3658, 0.0000)  3 Mn 2.01-2.05
Mn (0.6204, 0.7962, 0.5000)  5 O 1.97-2.03
Mn (0.0447, 0.5443, 0.5000)  5 O 1.97-2.03
Mn (0.0552, 0.0337, 0.0000)  3 O 1.93-2.03
Mn (0.3326, 0.6709, 0.0000)  4 O 1.97, 2 F 2.05
Mn (0.6112, 0.3074, 0.0000)  3 O 1.93-2.03
Mn (0.3332, 0.1711, 0.5000)  2 O 1.93, 4 F 2.01
Mg (0.8329, 0.1694, 0.0000)  2 O 2.05, 4 F 2.07


(2)
Sr2MnSbO6: relaxed, PBE+U.

Results
formation enthalpy at 0 K	-25.88	eV/f.u.
symmetry	I4/m (87)
spin magnetization	4.0	μB/f.u.
E_tot	-6.64	eV per atom

Cell lengths 5.7746, 5.7746, 5.7746 Å; angles 122.80, 122.80, 85.21 degrees
With the nearest neighbours (Å) after each atom.
Positions (direct):
O (0.2045, 0.3036, 0.5081)  1 Mn 1.96, 1 Sb 2.02
O (0.3036, 0.7955, 0.0991)  1 Mn 1.96, 1 Sb 2.02
O (0.6964, 0.2045, 0.9009)  1 Mn 1.96, 1 Sb 2.02
O (0.7955, 0.6964, 0.4919)  1 Mn 1.96, 1 Sb 2.02
O (0.7665, 0.7665, 0.0000)  1 Sb 1.98
O (0.2335, 0.2335, 0.0000)  1 Sb 1.98
Sb (0.0000, 0.0000, 0.0000)  6 O 1.98-2.02
Sr (0.2500, 0.7500, 0.5000)  8 O 2.64-2.77
Sr (0.7500, 0.2500, 0.5000)  8 O 2.64-2.77
Mn (0.5000, 0.5000, 0.0000)  4 O 1.96


(3)
LiTi2NiP2O10: relaxed, PBE+U.

Results
formation enthalpy at 0 K	-44.96	eV/f.u.
symmetry	P2_1/c (14)
spin magnetization	3.0	μB/f.u.
E_tot	-7.46	eV per atom

Cell lengths 7.4206, 6.5158, 7.4053 Å; angles 89.98, 90.00, 90.00 degrees
With the nearest neighbours (Å) after each atom.
Positions (direct):
Ti (0.2178, 0.7542, 0.3389)  3 O 1.81-2.00
Ti (0.7822, 0.2458, 0.6611)  3 O 1.81-2.00
Ti (0.2822, 0.7542, 0.8389)  3 O 1.81-2.00
Ti (0.7178, 0.2458, 0.1611)  3 O 1.81-2.00
O (0.5085, 0.7395, 0.2969)  1 P 1.56
O (0.9840, 0.7492, 0.4541)  1 P 1.53
O (0.1524, 0.7401, 0.1034)  1 Ti 1.81
O (0.0160, 0.2508, 0.5459)  1 P 1.53
O (0.9915, 0.7395, 0.7969)  1 P 1.56
O (0.6524, 0.2599, 0.3966)  1 Ti 1.81
O (0.2518, 0.0569, 0.3694)  1 P 1.55
O (0.3476, 0.7401, 0.6034)  1 Ti 1.81
O (0.4840, 0.2508, 0.0459)  1 P 1.53
O (0.7582, 0.5600, 0.1270)  1 P 1.55
O (0.2582, 0.4400, 0.3730)  1 P 1.55
O (0.2482, 0.0569, 0.8694)  1 P 1.55
O (0.7482, 0.9431, 0.6306)  1 P 1.55
O (0.8476, 0.2599, 0.8966)  1 Ti 1.81
O (0.2418, 0.4400, 0.8730)  1 P 1.55
O (0.7518, 0.9431, 0.1306)  1 P 1.55
O (0.0085, 0.2605, 0.2031)  1 P 1.56
O (0.4915, 0.2605, 0.7031)  1 P 1.56
O (0.7418, 0.5600, 0.6270)  1 P 1.55
O (0.5160, 0.7492, 0.9541)  1 P 1.53
Li (0.5000, 0.0000, 0.5000)  6 O 2.11-2.27
Li (0.0000, 0.0000, 0.0000)  6 O 2.11-2.27
P (0.1312, 0.2505, 0.3744)  4 O 1.53-1.56
P (0.6312, 0.7495, 0.1256)  4 O 1.53-1.56
P (0.3688, 0.2505, 0.8744)  4 O 1.53-1.56
P (0.8688, 0.7495, 0.6256)  4 O 1.53-1.56
Ni (0.0000, 0.5000, 0.0000)  6 O 2.06-2.17
Ni (0.5000, 0.5000, 0.5000)  6 O 2.06-2.17


(4)
Ti3Fe9O16: relaxed, PBE+U.

Results
E above lowest polymorph	2	meV/atom
formation enthalpy at 0 K	-60.50	eV/f.u.
symmetry	Pnnm (58)
spin magnetization	38.0	μB/f.u.
E_tot	-7.44	eV per atom

Cell lengths 6.1287, 8.6450, 12.1907 Å; angles 90.00, 90.00, 90.00 degrees
With the nearest neighbours (Å) after each atom.
Positions (direct):
O (0.0000, 0.7728, 0.2518)  1 Fe 1.91, 1 Ti 1.97
O (0.2607, 0.4934, 0.6404)  1 Fe 1.94, 1 Ti 1.97
O (0.5000, 0.7272, 0.7518)  1 Fe 1.91, 1 Ti 1.97
O (0.5000, 0.7359, 0.5137)  4 Fe 2.02-2.05
O (0.7840, 0.0011, 0.6220)  2 Ti 1.99-2.07, 2 Fe 2.09-2.19
O (0.7607, 0.0066, 0.1404)  1 Fe 1.94, 1 Ti 1.97
O (0.2393, 0.9934, 0.8596)  1 Fe 1.94, 1 Ti 1.97
O (0.0000, 0.7657, 0.4979)  1 Fe 1.92, 1 Ti 2.03
O (0.0000, 0.7708, 0.7375)  1 Ti 1.98, 3 Fe 2.06-2.08
O (0.7393, 0.4934, 0.6404)  1 Fe 1.94, 1 Ti 1.97
O (0.2840, 0.5011, 0.8780)  2 Ti 1.99-2.07, 2 Fe 2.09-2.19
O (0.2393, 0.0066, 0.1404)  1 Fe 1.94, 1 Ti 1.97
O (0.5000, 0.2708, 0.7625)  1 Ti 1.98, 3 Fe 2.06-2.08
O (0.7160, 0.4989, 0.1220)  2 Ti 1.99-2.07, 2 Fe 2.09-2.19
O (0.5000, 0.2657, 0.0021)  1 Fe 1.92, 1 Ti 2.03
O (0.5000, 0.7343, 0.9979)  1 Fe 1.92, 1 Ti 2.03
O (0.0000, 0.2343, 0.5021)  1 Fe 1.92, 1 Ti 2.03
O (0.2840, 0.4989, 0.1220)  2 Ti 1.99-2.07, 2 Fe 2.09-2.19
O (0.0000, 0.2292, 0.2625)  1 Ti 1.98, 3 Fe 2.06-2.08
O (0.5000, 0.2728, 0.2482)  1 Fe 1.91, 1 Ti 1.97
O (0.2160, 0.0011, 0.6220)  2 Ti 1.99-2.07, 2 Fe 2.09-2.19
O (0.2607, 0.5066, 0.3596)  1 Fe 1.94, 1 Ti 1.97
O (0.7607, 0.9934, 0.8596)  1 Fe 1.94, 1 Ti 1.97
O (0.2160, 0.9989, 0.3780)  2 Ti 1.99-2.07, 2 Fe 2.09-2.19
O (0.7393, 0.5066, 0.3596)  1 Fe 1.94, 1 Ti 1.97
O (0.0000, 0.2272, 0.7482)  1 Fe 1.91, 1 Ti 1.97
O (0.0000, 0.2359, 0.9863)  4 Fe 2.02-2.05
O (0.0000, 0.7641, 0.0137)  4 Fe 2.02-2.05
O (0.5000, 0.7292, 0.2375)  1 Ti 1.98, 3 Fe 2.06-2.08
O (0.7160, 0.5011, 0.8780)  2 Ti 1.99-2.07, 2 Fe 2.09-2.19
O (0.7840, 0.9989, 0.3780)  2 Ti 1.99-2.07, 2 Fe 2.09-2.19
O (0.5000, 0.2641, 0.4863)  4 Fe 2.02-2.05
Fe (0.2507, 0.7486, 0.6240)  6 O 2.04-2.22
Fe (0.7493, 0.2514, 0.3760)  6 O 2.04-2.22
Fe (0.0000, 0.3682, 0.6276)  4 O 1.91-1.94
Fe (0.2493, 0.7514, 0.1240)  6 O 2.04-2.22
Fe (0.7507, 0.7514, 0.1240)  6 O 2.04-2.22
Fe (0.2493, 0.2486, 0.8760)  6 O 2.04-2.22
Fe (0.0000, 0.0000, 0.0000)  6 O 2.05-2.26
Fe (0.0000, 0.3659, 0.1242)  4 O 2.02-2.09
Fe (0.5000, 0.8682, 0.8724)  4 O 1.91-1.94
Fe (0.7493, 0.7486, 0.6240)  6 O 2.04-2.22
Fe (0.0000, 0.6341, 0.8758)  4 O 2.02-2.09
Fe (0.5000, 0.1341, 0.6242)  4 O 2.02-2.09
Fe (0.5000, 0.8659, 0.3758)  4 O 2.02-2.09
Fe (0.7507, 0.2486, 0.8760)  6 O 2.04-2.22
Fe (0.5000, 0.5000, 0.5000)  6 O 2.05-2.26
Fe (0.0000, 0.6318, 0.3724)  4 O 1.91-1.94
Fe (0.2507, 0.2514, 0.3760)  6 O 2.04-2.22
Fe (0.5000, 0.1318, 0.1276)  4 O 1.91-1.94
Ti (0.0000, 0.0006, 0.2479)  6 O 1.97-2.07
Ti (0.0000, 0.0000, 0.5000)  6 O 1.99-2.03
Ti (0.5000, 0.4994, 0.7479)  6 O 1.97-2.07
Ti (0.0000, 0.9994, 0.7521)  6 O 1.97-2.07
Ti (0.5000, 0.5000, 0.0000)  6 O 1.99-2.03
Ti (0.5000, 0.5006, 0.2521)  6 O 1.97-2.07